Mg44Ir7: optimized geometry, PBE.

```
Mg44Ir7
1.0
0.000 10.049 10.049
10.049 0.000 10.049
10.049 10.049 0.000
Mg Ir
88 14
Direct
0.034 0.034 0.250
0.034 0.034 0.681
0.034 0.250 0.034
0.034 0.250 0.681
0.034 0.681 0.034
0.034 0.681 0.250
0.070 0.070 0.430
0.070 0.430 0.070
0.070 0.430 0.430
0.094 0.302 0.302
0.106 0.106 0.894
0.106 0.894 0.106
0.106 0.894 0.894
0.118 0.342 0.770
0.118 0.770 0.342
0.118 0.770 0.770
0.164 0.531 0.531
0.164 0.531 0.775
0.164 0.775 0.531
0.250 0.034 0.034
0.250 0.034 0.681
0.250 0.681 0.034
0.270 0.270 0.544
0.270 0.270 0.915
0.270 0.544 0.270
0.270 0.544 0.915
0.270 0.915 0.270
0.270 0.915 0.544
0.302 0.094 0.302
0.302 0.302 0.094
0.302 0.302 0.302
0.339 0.554 0.554
0.342 0.118 0.770
0.342 0.770 0.118
0.342 0.770 0.770
0.417 0.417 0.417
0.417 0.417 0.748
0.417 0.748 0.417
0.430 0.070 0.070
0.430 0.070 0.430
0.430 0.430 0.070
0.484 0.693 0.912
0.484 0.912 0.693
0.484 0.912 0.912
0.531 0.164 0.531
0.531 0.164 0.775
0.531 0.531 0.164
0.531 0.531 0.775
0.531 0.775 0.164
0.531 0.775 0.531
0.544 0.270 0.270
0.544 0.270 0.915
0.544 0.915 0.270
0.554 0.339 0.554
0.554 0.554 0.339
0.554 0.554 0.554
0.681 0.034 0.034
0.681 0.034 0.250
0.681 0.250 0.034
0.688 0.688 0.688
0.688 0.688 0.935
0.688 0.935 0.688
0.693 0.484 0.912
0.693 0.912 0.484
0.693 0.912 0.912
0.748 0.417 0.417
0.770 0.118 0.342
0.770 0.118 0.770
0.770 0.342 0.118
0.770 0.342 0.770
0.770 0.770 0.118
0.770 0.770 0.342
0.775 0.164 0.531
0.775 0.531 0.164
0.775 0.531 0.531
0.894 0.106 0.106
0.894 0.106 0.894
0.894 0.894 0.106
0.912 0.484 0.693
0.912 0.484 0.912
0.912 0.693 0.484
0.912 0.693 0.912
0.912 0.912 0.484
0.912 0.912 0.693
0.915 0.270 0.270
0.915 0.270 0.544
0.915 0.544 0.270
0.935 0.688 0.688
0.167 0.167 0.167
0.167 0.167 0.500
0.167 0.500 0.167
0.297 0.901 0.901
0.336 0.336 0.664
0.336 0.664 0.336
0.336 0.664 0.664
0.500 0.167 0.167
0.664 0.336 0.336
0.664 0.336 0.664
0.664 0.664 0.336
0.901 0.297 0.901
0.901 0.901 0.297
0.901 0.901 0.901
```

Summary:
The volume is 2029.7 Å³/cell. The total DFT energy (no corrections) comes out at -2.807 eV/atom.

CsCeMg14O16: optimized geometry, PBE.

```
CsCeMg14O16
1.0
8.920 0.000 0.000
0.000 8.920 0.000
0.000 0.000 4.601
Cs Ce Mg O
1 1 14 16
Direct
0.000 0.000 0.000
0.500 0.500 0.000
0.000 0.257 0.500
0.000 0.500 0.000
0.000 0.743 0.500
0.233 0.500 0.500
0.243 0.243 0.000
0.243 0.757 0.000
0.257 0.000 0.500
0.500 0.000 0.000
0.500 0.233 0.500
0.500 0.767 0.500
0.743 0.000 0.500
0.757 0.243 0.000
0.757 0.757 0.000
0.767 0.500 0.500
0.000 0.000 0.500
0.000 0.286 0.000
0.000 0.500 0.500
0.000 0.714 0.000
0.241 0.500 0.000
0.251 0.251 0.500
0.251 0.749 0.500
0.286 0.000 0.000
0.500 0.000 0.500
0.500 0.241 0.000
0.500 0.500 0.500
0.500 0.759 0.000
0.714 0.000 0.000
0.749 0.251 0.500
0.749 0.749 0.500
0.759 0.500 0.000
```

Summary:
The volume is 366.1 Å³/cell. The value obtained for the relative energy among the computed polymorphs is 0.000 eV per atom.

Sm2RuAu: optimized geometry, PBE.

```
Sm2RuAu
1.0
0.000 3.574 3.574
3.574 0.000 3.574
3.574 3.574 0.000
Sm Ru Au
2 1 1
Direct
0.250 0.250 0.250
0.750 0.750 0.750
0.000 0.000 0.000
0.500 0.500 0.500
```

Summary:
The volume is 91.3 Å³/cell. The total DFT energy (no corrections) comes out at -5.981 eV/atom.

Cr2As: optimized geometry, PBE.

```
Cr2As
1.0
3.561 0.000 0.000
0.000 3.561 0.000
0.000 0.000 6.326
Cr As
4 2
Direct
0.250 0.250 0.167
0.250 0.750 0.500
0.750 0.250 0.500
0.750 0.750 0.833
0.250 0.250 0.781
0.750 0.750 0.219
```

Summary:
The volume is 80.2 Å³/cell. The total DFT energy (no corrections) comes out at -8.035 eV/atom.

Sr4Zr3TiO12: optimized geometry, PBE.

```
Sr4Zr3TiO12
1.0
5.796 0.000 0.000
-0.002 5.825 0.000
-0.004 0.000 8.207
Sr Zr Ti O
4 3 1 12
Direct
0.006 0.473 0.242
0.493 0.977 0.242
0.507 0.023 0.758
0.994 0.527 0.758
0.000 0.000 0.500
0.500 0.500 0.000
0.500 0.500 0.500
0.000 0.000 0.000
0.066 0.987 0.760
0.212 0.712 0.460
0.222 0.737 0.033
0.263 0.222 0.034
0.288 0.211 0.459
0.426 0.485 0.751
0.574 0.515 0.249
0.712 0.789 0.541
0.737 0.778 0.966
0.778 0.263 0.967
0.788 0.288 0.540
0.934 0.013 0.240
```

Summary:
The volume is 277.1 Å³/cell. The total DFT energy (no corrections) comes out at -8.191 eV/atom.

LiBiP2O7: optimized geometry, PBE.

```
LiBiP2O7
1.0
8.909 0.000 0.000
0.000 5.614 0.000
-7.108 0.000 12.191
Li Bi P O
4 4 8 28
Direct
0.246 0.218 0.011
0.246 0.282 0.511
0.754 0.718 0.489
0.754 0.782 0.989
0.481 0.198 0.834
0.481 0.302 0.334
0.519 0.698 0.666
0.519 0.802 0.166
0.173 0.748 0.157
0.173 0.752 0.657
0.328 0.701 0.890
0.328 0.799 0.390
0.672 0.201 0.610
0.672 0.299 0.110
0.827 0.248 0.343
0.827 0.252 0.843
0.008 0.245 0.434
0.008 0.255 0.934
0.166 0.722 0.271
0.166 0.778 0.771
0.283 0.522 0.669
0.283 0.978 0.169
0.295 0.540 0.160
0.295 0.960 0.660
0.305 0.664 0.477
0.305 0.836 0.977
0.326 0.069 0.402
0.326 0.431 0.902
0.489 0.709 0.386
0.489 0.791 0.886
0.511 0.209 0.114
0.511 0.291 0.614
0.674 0.569 0.098
0.674 0.931 0.598
0.695 0.164 0.023
0.695 0.336 0.523
0.705 0.040 0.340
0.705 0.460 0.840
0.717 0.022 0.831
0.717 0.478 0.331
0.834 0.222 0.229
0.834 0.278 0.729
0.992 0.745 0.066
0.992 0.755 0.566
```

Summary:
The volume is 609.8 Å³/cell. The value obtained for the relative energy among the computed polymorphs is 0.054 eV per atom.

MnVRu2: optimized geometry, PBE.

```
MnVRu2
1.0
0.000 3.011 3.011
3.011 0.000 3.011
3.011 3.011 0.000
Mn V Ru
1 1 2
Direct
0.000 0.000 0.000
0.500 0.500 0.500
0.250 0.250 0.250
0.750 0.750 0.750
```

Summary:
The volume is 54.6 Å³/cell. The total DFT energy (no corrections) comes out at -9.364 eV/atom.

MgSO3: optimized geometry, PBE.

```
MgSO3
1.0
6.366 3.676 2.608
-6.366 3.676 2.608
0.000 -7.351 2.608
Mg S O
6 6 18
Direct
0.131 0.814 0.313
0.186 0.687 0.869
0.313 0.131 0.814
0.687 0.869 0.186
0.814 0.313 0.131
0.869 0.186 0.687
0.147 0.292 0.474
0.292 0.474 0.147
0.474 0.147 0.292
0.526 0.853 0.708
0.708 0.526 0.853
0.853 0.708 0.526
0.063 0.841 0.736
0.085 0.386 0.637
0.125 0.519 0.188
0.159 0.264 0.937
0.188 0.125 0.519
0.264 0.937 0.159
0.363 0.915 0.614
0.386 0.637 0.085
0.481 0.812 0.875
0.519 0.188 0.125
0.614 0.363 0.915
0.637 0.085 0.386
0.736 0.063 0.841
0.812 0.875 0.481
0.841 0.736 0.063
0.875 0.481 0.812
0.915 0.614 0.363
0.937 0.159 0.264
```

Summary:
The volume is 366.2 Å³/cell. The total DFT energy (no corrections) comes out at -5.993 eV/atom.